NaZnP3O9: optimized geometry, GGA-PBE.

Unit cell a=14.442 b=14.470 c=14.526 alpha=90.00 beta=90.00 gamma=90.00
Space group Pbca (No. 61)
Inequivalent atoms, fractional coordinates:
Na 0.000 0.000 0.000 [4 per cell]
Na 0.000 0.000 0.500 [4 per cell]
Na 0.242 0.247 0.243 [8 per cell]
Zn 0.116 0.631 0.627 [8 per cell]
Zn 0.133 0.116 0.380 [8 per cell]
P 0.001 0.722 0.273 [8 per cell]
P 0.019 0.736 0.975 [8 per cell]
P 0.022 0.521 0.261 [8 per cell]
P 0.222 0.726 0.987 [8 per cell]
P 0.226 0.001 0.727 [8 per cell]
P 0.245 0.523 0.026 [8 per cell]
O 0.023 0.023 0.332 [8 per cell]
O 0.026 0.670 0.520 [8 per cell]
O 0.027 0.523 0.659 [8 per cell]
O 0.029 0.246 0.625 [8 per cell]
O 0.030 0.159 0.477 [8 per cell]
O 0.051 0.624 0.293 [8 per cell]
O 0.073 0.716 0.734 [8 per cell]
O 0.090 0.208 0.276 [8 per cell]
O 0.121 0.699 0.946 [8 per cell]
O 0.122 0.028 0.755 [8 per cell]
O 0.163 0.013 0.474 [8 per cell]
O 0.166 0.531 0.528 [8 per cell]
O 0.210 0.548 0.128 [8 per cell]
O 0.211 0.738 0.584 [8 per cell]
O 0.224 0.592 0.717 [8 per cell]
O 0.228 0.220 0.416 [8 per cell]
O 0.229 0.126 0.989 [8 per cell]
O 0.238 0.073 0.289 [8 per cell]

Calculated values
**ΔE_f**: -2.55 eV per atom